# ZnAgPO4 (PBE-GGA, relaxed)
# ΔH_f (0 K) = -1.998 eV per atom
# crystal system = triclinic
data_ZnAgPO4
_symmetry_space_group_name_H-M 'P 1'
_symmetry_Int_Tables_number 1
_symmetry_space_group_name_Hall 'P 1'
_cell_length_a 8.391
_cell_length_b 10.293
_cell_length_c 10.299
_cell_angle_alpha 60.13
_cell_angle_beta 89.46
_cell_angle_gamma 89.74
loop_
_atom_site_label
_atom_site_type_symbol
_atom_site_fract_x
_atom_site_fract_y
_atom_site_fract_z
Zn1 Zn 0.000 0.000 0.000
Zn2 Zn 0.000 0.490 0.475
Zn3 Zn 0.003 0.523 0.968
Zn4 Zn 0.451 0.340 0.813
Zn5 Zn 0.500 0.343 0.295
Zn6 Zn 0.500 0.820 0.328
Zn7 Zn 0.503 0.852 0.820
Zn8 Zn 0.951 0.005 0.482
Ag1 Ag 0.167 0.157 0.638
Ag2 Ag 0.172 0.697 0.631
Ag3 Ag 0.174 0.162 0.177
Ag4 Ag 0.178 0.672 0.148
Ag5 Ag 0.670 0.182 0.120
Ag6 Ag 0.670 0.646 0.664
Ag7 Ag 0.672 0.189 0.656
Ag8 Ag 0.678 0.672 0.148
P1 P 0.369 0.007 0.481
P2 P 0.381 0.487 0.470
P3 P 0.382 0.997 0.007
P4 P 0.383 0.533 0.964
P5 P 0.869 0.339 0.812
P6 P 0.879 0.348 0.286
P7 P 0.883 0.811 0.333
P8 P 0.883 0.855 0.825
O1 O 0.014 0.699 0.435
O2 O 0.016 0.355 0.178
O3 O 0.017 0.956 0.834
O4 O 0.185 0.021 0.484
O5 O 0.218 0.417 0.464
O6 O 0.218 0.999 0.078
O7 O 0.220 0.607 0.893
O8 O 0.390 0.857 0.988
O9 O 0.391 0.512 0.124
O10 O 0.393 0.499 0.614
O11 O 0.393 0.647 0.331
O12 O 0.400 0.376 0.976
O13 O 0.404 0.139 0.851
O14 O 0.411 0.860 0.481
O15 O 0.434 0.145 0.335
O16 O 0.438 0.005 0.621
O17 O 0.514 0.987 0.118
O18 O 0.515 0.385 0.463
O19 O 0.517 0.642 0.862
O20 O 0.686 0.357 0.798
O21 O 0.718 0.354 0.209
O22 O 0.718 0.742 0.405
O23 O 0.720 0.927 0.827
O24 O 0.890 0.488 0.307
O25 O 0.891 0.205 0.442
O26 O 0.892 0.695 0.964
O27 O 0.892 0.830 0.173
O28 O 0.901 0.842 0.682
O29 O 0.905 0.967 0.320
O30 O 0.910 0.192 0.959
O31 O 0.934 0.331 0.674
O32 O 0.939 0.478 0.814